1.
# Li2V3CuO8, optimized geometry, DFT PBE with a Hubbard U
data_Li2V3CuO8
_chemical_formula_sum 'Li8 V12 Cu4 O32'
_cell_length_a 8.079
_cell_length_b 8.605
_cell_length_c 8.611
_cell_angle_alpha 89.97
_cell_angle_beta 89.99
_cell_angle_gamma 90.00
_symmetry_space_group_name_H-M 'P 1'
_symmetry_Int_Tables_number 1
loop_
_symmetry_equiv_pos_as_xyz
'x,y,z'
loop_
_atom_site_label
_atom_site_type_symbol
_atom_site_fract_x
_atom_site_fract_y
_atom_site_fract_z
_atom_site_occupancy
Li1 Li 0.000 0.000 0.000 1
Li2 Li 0.004 0.497 0.499 1
Li3 Li 0.250 0.744 0.748 1
Li4 Li 0.254 0.243 0.251 1
Li5 Li 0.500 0.492 0.004 1
Li6 Li 0.504 0.995 0.506 1
Li7 Li 0.750 0.748 0.256 1
Li8 Li 0.755 0.249 0.753 1
V1 V 0.122 0.120 0.625 1
V2 V 0.132 0.627 0.136 1
V3 V 0.134 0.878 0.376 1
V4 V 0.370 0.370 0.627 1
V5 V 0.382 0.121 0.870 1
V6 V 0.383 0.879 0.121 1
V7 V 0.622 0.372 0.380 1
V8 V 0.632 0.865 0.869 1
V9 V 0.633 0.614 0.628 1
V10 V 0.871 0.122 0.378 1
V11 V 0.882 0.371 0.134 1
V12 V 0.883 0.612 0.883 1
Cu1 Cu 0.128 0.363 0.886 1
Cu2 Cu 0.379 0.632 0.386 1
Cu3 Cu 0.628 0.129 0.119 1
Cu4 Cu 0.879 0.860 0.619 1
O1 O 0.109 0.617 0.896 1
O2 O 0.110 0.397 0.143 1
O3 O 0.114 0.112 0.390 1
O4 O 0.125 0.888 0.605 1
O5 O 0.129 0.649 0.363 1
O6 O 0.140 0.861 0.137 1
O7 O 0.143 0.122 0.853 1
O8 O 0.149 0.356 0.617 1
O9 O 0.358 0.640 0.132 1
O10 O 0.361 0.887 0.352 1
O11 O 0.364 0.134 0.636 1
O12 O 0.373 0.350 0.859 1
O13 O 0.380 0.107 0.100 1
O14 O 0.390 0.880 0.888 1
O15 O 0.392 0.598 0.624 1
O16 O 0.400 0.360 0.392 1
O17 O 0.609 0.876 0.108 1
O18 O 0.610 0.096 0.862 1
O19 O 0.614 0.380 0.615 1
O20 O 0.624 0.603 0.399 1
O21 O 0.628 0.843 0.641 1
O22 O 0.640 0.631 0.868 1
O23 O 0.643 0.369 0.151 1
O24 O 0.649 0.135 0.387 1
O25 O 0.858 0.852 0.871 1
O26 O 0.861 0.605 0.652 1
O27 O 0.864 0.358 0.369 1
O28 O 0.873 0.142 0.146 1
O29 O 0.880 0.384 0.905 1
O30 O 0.890 0.612 0.116 1
O31 O 0.892 0.894 0.381 1
O32 O 0.900 0.132 0.612 1
# Space-group type: P1, No. 1



2.
# LiVCuO4, optimized geometry, DFT PBE with a Hubbard U
data_LiVCuO4
_chemical_formula_sum 'Li2 V2 Cu2 O8'
_cell_length_a 5.089
_cell_length_b 5.089
_cell_length_c 6.397
_cell_angle_alpha 90.00
_cell_angle_beta 90.00
_cell_angle_gamma 110.42
_symmetry_space_group_name_H-M 'P 1'
_symmetry_Int_Tables_number 1
loop_
_symmetry_equiv_pos_as_xyz
'x,y,z'
loop_
_atom_site_label
_atom_site_type_symbol
_atom_site_fract_x
_atom_site_fract_y
_atom_site_fract_z
_atom_site_occupancy
Li1 Li 0.169 0.831 0.750 1
Li2 Li 0.831 0.169 0.250 1
V1 V 0.152 0.848 0.250 1
V2 V 0.848 0.152 0.750 1
Cu1 Cu 0.500 0.500 0.000 1
Cu2 Cu 0.500 0.500 0.500 1
O1 O 0.218 0.258 0.750 1
O2 O 0.258 0.218 0.250 1
O3 O 0.269 0.731 0.026 1
O4 O 0.269 0.731 0.474 1
O5 O 0.731 0.269 0.526 1
O6 O 0.731 0.269 0.974 1
O7 O 0.742 0.782 0.750 1
O8 O 0.782 0.742 0.250 1
# Space-group type: Cmcm, No. 63



Across the entries above, energy above the most stable polymorph in this dataset takes the values 11 29 meV per atom, respectively.
Across the entries above, DFT formation energy takes the values -2234 -1932 meV/atom, respectively.